[1]
La2Ni4GeP3 | PBE | relaxed

Values from the calculation:
For the formation energy, the calculation gives -0.920 eV per atom. The calculation puts the calculated volume at 159.3 Å³ per cell. As for the raw total energy: -6.3053 eV per atom.

```
data_La2Ni4GeP3
_space_group_name_H-M_alt 'P 1'
_space_group_IT_number 1
_space_group_name_Hall 'P 1'
_cell_length_a 4.027
_cell_length_b 4.027
_cell_length_c 9.825
_cell_angle_alpha 90.00
_cell_angle_beta 90.00
_cell_angle_gamma 90.00
loop_
_atom_site_label
_atom_site_type_symbol
_atom_site_fract_x
_atom_site_fract_y
_atom_site_fract_z
La1 La 0.000 0.000 0.000
La2 La 0.500 0.500 0.488
Ni1 Ni 0.000 0.500 0.243
Ni2 Ni 0.000 0.500 0.756
Ni3 Ni 0.500 0.000 0.243
Ni4 Ni 0.500 0.000 0.756
Ge1 Ge 0.000 0.000 0.625
P1 P 0.000 0.000 0.362
P2 P 0.500 0.500 0.128
P3 P 0.500 0.500 0.866
```

---

[2]
SnHg3 | PBE | relaxed

Values from the calculation:
For the formation energy, the calculation gives 0.096 eV per atom. The calculation puts the calculated volume at 211.0 Å³ per cell. As for the raw total energy: -1.1341 eV per atom.

```
data_SnHg3
_space_group_name_H-M_alt 'P 1'
_space_group_IT_number 1
_space_group_name_Hall 'P 1'
_cell_length_a 6.835
_cell_length_b 6.835
_cell_length_c 5.215
_cell_angle_alpha 90.00
_cell_angle_beta 90.00
_cell_angle_gamma 120.00
loop_
_atom_site_label
_atom_site_type_symbol
_atom_site_fract_x
_atom_site_fract_y
_atom_site_fract_z
Sn1 Sn 0.333 0.667 0.250
Sn2 Sn 0.667 0.333 0.750
Hg1 Hg 0.166 0.331 0.750
Hg2 Hg 0.166 0.834 0.750
Hg3 Hg 0.331 0.166 0.250
Hg4 Hg 0.669 0.834 0.750
Hg5 Hg 0.834 0.166 0.250
Hg6 Hg 0.834 0.669 0.250
```

---

[3]
RbAlH8N4 | PBE | relaxed

Values from the calculation:
For the MP2020-corrected energy, the calculation gives -5.26 eV per atom. For the formation energy, the calculation gives -0.600 eV per atom. Its distance to the lowest polymorph of the same formula is 0.002 eV/atom. The calculation puts the calculated volume at 302.9 Å³ per cell. As for the raw total energy: -5.1547 eV per atom.

```
data_RbAlH8N4
_space_group_name_H-M_alt 'P 1'
_space_group_IT_number 1
_space_group_name_Hall 'P 1'
_cell_length_a 7.687
_cell_length_b 7.687
_cell_length_c 5.127
_cell_angle_alpha 90.00
_cell_angle_beta 90.00
_cell_angle_gamma 90.00
loop_
_atom_site_label
_atom_site_type_symbol
_atom_site_fract_x
_atom_site_fract_y
_atom_site_fract_z
Rb1 Rb 0.250 0.250 0.077
Rb2 Rb 0.750 0.750 0.923
Al1 Al 0.250 0.750 0.500
Al2 Al 0.750 0.250 0.500
H1 H 0.016 0.416 0.672
H2 H 0.084 0.016 0.672
H3 H 0.114 0.871 0.906
H4 H 0.129 0.614 0.094
H5 H 0.371 0.886 0.094
H6 H 0.386 0.629 0.906
H7 H 0.416 0.484 0.672
H8 H 0.484 0.084 0.672
H9 H 0.516 0.916 0.328
H10 H 0.584 0.516 0.328
H11 H 0.614 0.371 0.094
H12 H 0.629 0.114 0.906
H13 H 0.871 0.386 0.906
H14 H 0.886 0.129 0.094
H15 H 0.916 0.984 0.328
H16 H 0.984 0.584 0.328
N1 N 0.084 0.662 0.267
N2 N 0.162 0.916 0.733
N3 N 0.338 0.584 0.733
N4 N 0.416 0.838 0.267
N5 N 0.584 0.162 0.733
N6 N 0.662 0.416 0.267
N7 N 0.838 0.084 0.267
N8 N 0.916 0.338 0.733
```

---

[4]
Y4ZnGa3 | PBE | relaxed

Values from the calculation:
For the formation energy, the calculation gives -0.572 eV per atom. The calculation puts the calculated volume at 193.2 Å³ per cell. As for the raw total energy: -5.0982 eV per atom.

```
data_Y4ZnGa3
_space_group_name_H-M_alt 'P 1'
_space_group_IT_number 1
_space_group_name_Hall 'P 1'
_cell_length_a 11.367
_cell_length_b 11.367
_cell_length_c 11.367
_cell_angle_alpha 159.22
_cell_angle_beta 158.22
_cell_angle_gamma 30.28
loop_
_atom_site_label
_atom_site_type_symbol
_atom_site_fract_x
_atom_site_fract_y
_atom_site_fract_z
Y1 Y 0.000 0.000 0.000
Y2 Y 0.252 0.752 0.500
Y3 Y 0.392 0.392 0.000
Y4 Y 0.643 0.143 0.500
Zn1 Zn 0.535 0.535 0.000
Ga1 Ga 0.110 0.610 0.500
Ga2 Ga 0.785 0.285 0.500
Ga3 Ga 0.859 0.859 0.000
```

---

[5]
Sr3Ni3N5 | PBE | relaxed

Values from the calculation:
For the MP2020-corrected energy, the calculation gives -6.18 eV per atom. For the formation energy, the calculation gives -0.356 eV per atom. The calculation puts the calculated volume at 332.6 Å³ per cell. As for the raw total energy: -6.0184 eV per atom.

```
data_Sr3Ni3N5
_space_group_name_H-M_alt 'P 1'
_space_group_IT_number 1
_space_group_name_Hall 'P 1'
_cell_length_a 6.071
_cell_length_b 7.375
_cell_length_c 8.491
_cell_angle_alpha 67.32
_cell_angle_beta 71.57
_cell_angle_gamma 81.25
loop_
_atom_site_label
_atom_site_type_symbol
_atom_site_fract_x
_atom_site_fract_y
_atom_site_fract_z
Sr1 Sr 0.015 0.194 0.279
Sr2 Sr 0.302 0.627 0.362
Sr3 Sr 0.370 0.911 0.885
Sr4 Sr 0.630 0.089 0.115
Sr5 Sr 0.698 0.373 0.638
Sr6 Sr 0.985 0.806 0.721
Ni1 Ni 0.104 0.309 0.819
Ni2 Ni 0.331 0.487 0.935
Ni3 Ni 0.406 0.164 0.474
Ni4 Ni 0.594 0.836 0.526
Ni5 Ni 0.669 0.513 0.065
Ni6 Ni 0.896 0.691 0.181
N1 N 0.162 0.240 0.630
N2 N 0.163 0.575 0.105
N3 N 0.321 0.233 0.946
N4 N 0.332 0.969 0.412
N5 N 0.410 0.651 0.709
N6 N 0.590 0.349 0.291
N7 N 0.668 0.031 0.588
N8 N 0.679 0.767 0.054
N9 N 0.837 0.425 0.895
N10 N 0.838 0.760 0.370
```

---

[6]
NaScTiSiS2O12 | PBE | relaxed

Values from the calculation:
For the MP2020-corrected energy, the calculation gives -7.63 eV per atom. For the formation energy, the calculation gives -2.711 eV per atom. The calculation puts the calculated volume at 1525.8 Å³ per cell. As for the raw total energy: -7.1766 eV per atom.

```
data_NaScTiSiS2O12
_space_group_name_H-M_alt 'P 1'
_space_group_IT_number 1
_space_group_name_Hall 'P 1'
_cell_length_a 8.809
_cell_length_b 8.809
_cell_length_c 22.751
_cell_angle_alpha 90.49
_cell_angle_beta 90.49
_cell_angle_gamma 59.80
loop_
_atom_site_label
_atom_site_type_symbol
_atom_site_fract_x
_atom_site_fract_y
_atom_site_fract_z
Na1 Na 0.006 0.994 0.500
Na2 Na 0.306 0.346 0.167
Na3 Na 0.346 0.306 0.667
Na4 Na 0.643 0.673 0.835
Na5 Na 0.673 0.643 0.335
Na6 Na 0.994 0.006 0.000
Sc1 Sc 0.305 0.331 0.311
Sc2 Sc 0.331 0.305 0.811
Sc3 Sc 0.653 0.655 0.478
Sc4 Sc 0.655 0.653 0.978
Sc5 Sc 0.987 0.994 0.644
Sc6 Sc 0.994 0.987 0.144
Ti1 Ti 0.305 0.312 0.018
Ti2 Ti 0.312 0.305 0.518
Ti3 Ti 0.646 0.680 0.686
Ti4 Ti 0.680 0.646 0.186
Ti5 Ti 0.986 0.989 0.852
Ti6 Ti 0.989 0.986 0.352
Si1 Si 0.026 0.317 0.413
Si2 Si 0.317 0.026 0.913
Si3 Si 0.362 0.948 0.579
Si4 Si 0.702 0.988 0.746
Si5 Si 0.948 0.362 0.079
Si6 Si 0.988 0.702 0.246
S1 S 0.038 0.615 0.915
S2 S 0.282 0.704 0.749
S3 S 0.286 0.977 0.249
S4 S 0.314 0.615 0.415
S5 S 0.373 0.645 0.082
S6 S 0.615 0.038 0.415
S7 S 0.615 0.314 0.915
S8 S 0.645 0.373 0.582
S9 S 0.647 0.951 0.082
S10 S 0.704 0.282 0.249
S11 S 0.951 0.647 0.582
S12 S 0.977 0.286 0.749
O1 O 0.001 0.798 0.189
O2 O 0.010 0.180 0.696
O3 O 0.018 0.134 0.406
O4 O 0.025 0.792 0.912
O5 O 0.121 0.341 0.357
O6 O 0.121 0.515 0.861
O7 O 0.124 0.322 0.755
O8 O 0.130 0.486 0.578
O9 O 0.134 0.018 0.906
O10 O 0.142 0.356 0.074
O11 O 0.146 0.526 0.968
O12 O 0.149 0.792 0.410
O13 O 0.154 0.288 0.473
O14 O 0.155 0.505 0.250
O15 O 0.166 0.982 0.586
O16 O 0.180 0.010 0.196
O17 O 0.182 0.787 0.695
O18 O 0.191 0.967 0.302
O19 O 0.192 0.798 0.086
O20 O 0.200 0.814 0.802
O21 O 0.288 0.154 0.973
O22 O 0.296 0.529 0.468
O23 O 0.299 0.530 0.755
O24 O 0.322 0.124 0.255
O25 O 0.338 0.512 0.361
O26 O 0.341 0.121 0.857
O27 O 0.356 0.142 0.574
O28 O 0.366 0.480 0.077
O29 O 0.450 0.671 0.029
O30 O 0.455 0.809 0.245
O31 O 0.457 0.836 0.523
O32 O 0.462 0.683 0.744
O33 O 0.465 0.645 0.419
O34 O 0.478 0.632 0.135
O35 O 0.480 0.366 0.577
O36 O 0.482 0.831 0.920
O37 O 0.486 0.130 0.078
O38 O 0.488 0.852 0.640
O39 O 0.505 0.155 0.750
O40 O 0.512 0.338 0.861
O41 O 0.515 0.121 0.361
O42 O 0.526 0.146 0.468
O43 O 0.529 0.296 0.968
O44 O 0.530 0.299 0.255
O45 O 0.625 0.866 0.135
O46 O 0.632 0.478 0.635
O47 O 0.641 0.859 0.419
O48 O 0.645 0.465 0.919
O49 O 0.664 0.850 0.029
O50 O 0.671 0.450 0.529
O51 O 0.683 0.462 0.244
O52 O 0.691 0.802 0.741
O53 O 0.787 0.182 0.195
O54 O 0.792 0.025 0.412
O55 O 0.792 0.149 0.910
O56 O 0.798 0.001 0.689
O57 O 0.798 0.192 0.586
O58 O 0.801 0.973 0.087
O59 O 0.802 0.691 0.241
O60 O 0.809 0.455 0.745
O61 O 0.814 0.200 0.302
O62 O 0.825 0.966 0.806
O63 O 0.831 0.482 0.420
O64 O 0.836 0.457 0.023
O65 O 0.850 0.664 0.529
O66 O 0.852 0.488 0.140
O67 O 0.859 0.641 0.919
O68 O 0.866 0.625 0.635
O69 O 0.966 0.825 0.306
O70 O 0.967 0.191 0.802
O71 O 0.973 0.801 0.587
O72 O 0.982 0.166 0.086
```

---

[7]
RbEu2I5 | PBE | relaxed

Values from the calculation:
For the MP2020-corrected energy, the calculation gives -5.47 eV per atom. For the formation energy, the calculation gives -1.836 eV per atom. The calculation puts the calculated volume at 1331.4 Å³ per cell. As for the raw total energy: -5.2381 eV per atom.

```
data_RbEu2I5
_space_group_name_H-M_alt 'P 1'
_space_group_IT_number 1
_space_group_name_Hall 'P 1'
_cell_length_a 10.152
_cell_length_b 9.101
_cell_length_c 14.411
_cell_angle_alpha 90.00
_cell_angle_beta 90.31
_cell_angle_gamma 90.00
loop_
_atom_site_label
_atom_site_type_symbol
_atom_site_fract_x
_atom_site_fract_y
_atom_site_fract_z
Rb1 Rb 0.007 0.053 0.331
Rb2 Rb 0.007 0.447 0.831
Rb3 Rb 0.993 0.553 0.169
Rb4 Rb 0.993 0.947 0.669
Eu1 Eu 0.253 0.573 0.494
Eu2 Eu 0.253 0.927 0.994
Eu3 Eu 0.497 0.526 0.181
Eu4 Eu 0.497 0.974 0.681
Eu5 Eu 0.503 0.026 0.319
Eu6 Eu 0.503 0.474 0.819
Eu7 Eu 0.747 0.073 0.006
Eu8 Eu 0.747 0.427 0.506
I1 I 0.037 0.174 0.080
I2 I 0.037 0.326 0.580
I3 I 0.274 0.688 0.716
I4 I 0.274 0.812 0.216
I5 I 0.284 0.161 0.816
I6 I 0.284 0.339 0.316
I7 I 0.288 0.545 0.998
I8 I 0.288 0.955 0.498
I9 I 0.459 0.162 0.099
I10 I 0.459 0.338 0.599
I11 I 0.541 0.662 0.401
I12 I 0.541 0.838 0.901
I13 I 0.712 0.045 0.502
I14 I 0.712 0.455 0.002
I15 I 0.716 0.661 0.684
I16 I 0.716 0.839 0.184
I17 I 0.726 0.188 0.784
I18 I 0.726 0.312 0.284
I19 I 0.963 0.674 0.420
I20 I 0.963 0.826 0.920
```

---

[8]
MgB4O16 | PBE | relaxed

Values from the calculation:
For the formation energy, the calculation gives -1.059 eV per atom. Its distance to the lowest polymorph of the same formula is 0.000 eV/atom. The calculation puts the calculated volume at 1234.5 Å³ per cell. As for the raw total energy: -6.1777 eV per atom.

```
data_MgB4O16
_space_group_name_H-M_alt 'P 1'
_space_group_IT_number 1
_space_group_name_Hall 'P 1'
_cell_length_a 7.153
_cell_length_b 15.282
_cell_length_c 11.383
_cell_angle_alpha 90.00
_cell_angle_beta 97.17
_cell_angle_gamma 90.00
loop_
_atom_site_label
_atom_site_type_symbol
_atom_site_fract_x
_atom_site_fract_y
_atom_site_fract_z
Mg1 Mg 0.077 0.158 0.391
Mg2 Mg 0.077 0.342 0.891
Mg3 Mg 0.923 0.658 0.109
Mg4 Mg 0.923 0.842 0.609
B1 B 0.046 0.247 0.135
B2 B 0.046 0.253 0.635
B3 B 0.218 0.640 0.345
B4 B 0.218 0.860 0.845
B5 B 0.299 0.554 0.168
B6 B 0.299 0.946 0.668
B7 B 0.368 0.014 0.320
B8 B 0.368 0.486 0.820
B9 B 0.632 0.514 0.180
B10 B 0.632 0.986 0.680
B11 B 0.701 0.054 0.332
B12 B 0.701 0.446 0.832
B13 B 0.782 0.140 0.155
B14 B 0.782 0.360 0.655
B15 B 0.954 0.747 0.365
B16 B 0.954 0.753 0.865
O1 O 0.000 0.000 0.000
O2 O 0.000 0.000 0.500
O3 O 0.000 0.500 0.000
O4 O 0.000 0.500 0.500
O5 O 0.030 0.231 0.525
O6 O 0.030 0.269 0.025
O7 O 0.043 0.007 0.154
O8 O 0.043 0.493 0.654
O9 O 0.066 0.691 0.302
O10 O 0.066 0.809 0.802
O11 O 0.102 0.565 0.709
O12 O 0.102 0.935 0.209
O13 O 0.132 0.572 0.101
O14 O 0.132 0.928 0.601
O15 O 0.201 0.211 0.713
O16 O 0.201 0.289 0.213
O17 O 0.213 0.228 0.829
O18 O 0.213 0.272 0.329
O19 O 0.260 0.080 0.338
O20 O 0.260 0.420 0.838
O21 O 0.265 0.637 0.473
O22 O 0.265 0.863 0.973
O23 O 0.306 0.564 0.751
O24 O 0.306 0.936 0.251
O25 O 0.327 0.593 0.281
O26 O 0.327 0.907 0.781
O27 O 0.414 0.715 0.088
O28 O 0.414 0.785 0.588
O29 O 0.416 0.590 0.511
O30 O 0.416 0.910 0.011
O31 O 0.441 0.503 0.137
O32 O 0.441 0.997 0.637
O33 O 0.484 0.702 0.996
O34 O 0.484 0.798 0.496
O35 O 0.516 0.202 0.504
O36 O 0.516 0.298 0.004
O37 O 0.559 0.003 0.363
O38 O 0.559 0.497 0.863
O39 O 0.584 0.090 0.989
O40 O 0.584 0.410 0.489
O41 O 0.586 0.215 0.412
O42 O 0.586 0.285 0.912
O43 O 0.673 0.093 0.219
O44 O 0.673 0.407 0.719
O45 O 0.694 0.064 0.749
O46 O 0.694 0.436 0.249
O47 O 0.735 0.137 0.027
O48 O 0.735 0.363 0.527
O49 O 0.740 0.580 0.162
O50 O 0.740 0.920 0.662
O51 O 0.787 0.728 0.671
O52 O 0.787 0.772 0.171
O53 O 0.799 0.711 0.787
O54 O 0.799 0.789 0.287
O55 O 0.868 0.072 0.399
O56 O 0.868 0.428 0.899
O57 O 0.898 0.065 0.791
O58 O 0.898 0.435 0.291
O59 O 0.934 0.191 0.198
O60 O 0.934 0.309 0.698
O61 O 0.957 0.507 0.346
O62 O 0.957 0.993 0.846
O63 O 0.970 0.731 0.975
O64 O 0.970 0.769 0.475
```

---

> What is the formula in the seventh record?

RbEu2I5